1.
Compound: Rb2SCl6F
Source: the Materials Project
Functional: PBE-GGA
Structure: relaxed

Volume, A^3/atom: 25.294
E_form, eV per atom: -0.939
Total magnetic moment, μB/f.u.: 0.3
E_tot, eV/atom: -2.803

```
Rb2SCl6F
1.0
0.0000 5.0195 5.0195
5.0195 0.0000 5.0195
5.0195 5.0195 0.0000
Rb S Cl F
2 1 6 1
direct
0.2500 0.2500 0.2500 Rb
0.7500 0.7500 0.7500 Rb
0.0000 0.0000 0.0000 S
0.2296 0.2296 0.7704 Cl
0.2296 0.7704 0.2296 Cl
0.2296 0.7704 0.7704 Cl
0.7704 0.2296 0.2296 Cl
0.7704 0.2296 0.7704 Cl
0.7704 0.7704 0.2296 Cl
0.5000 0.5000 0.5000 F
```

=====

2.
Compound: CsAgBr2
Source: the Materials Project
Functional: PBE-GGA
Structure: relaxed

Volume, A^3/atom: 37.598
ΔE to the lowest computed polymorph, meV per atom: 0
E_form, eV per atom: -1.357
E_tot, eV/atom: -2.841

```
CsAgBr2
1.0
5.3699 0.0000 0.0000
0.0000 5.3699 0.0000
0.0000 0.0000 10.4307
Cs Ag Br
2 2 4
direct
0.2500 0.2500 0.2068 Cs
0.7500 0.7500 0.7932 Cs
0.2500 0.2500 0.6000 Ag
0.7500 0.7500 0.4000 Ag
0.2500 0.2500 0.8551 Br
0.2500 0.7500 0.5000 Br
0.7500 0.2500 0.5000 Br
0.7500 0.7500 0.1449 Br
```

=====

3.
Compound: TiNb2ZnPb4O12
Source: the Materials Project
Functional: PBE-GGA
Structure: relaxed

Volume, A^3/atom: 13.782
ΔE to the lowest computed polymorph, meV per atom: 6
E_form, eV per atom: -2.352
Total magnetic moment, μB/f.u.: 0.0
E_tot, eV/atom: -7.119

```
TiNb2ZnPb4O12
1.0
2.8791 -2.8552 0.0000
2.8791 2.8552 0.0000
-0.0716 0.0000 16.7650
Ti Nb Zn Pb O
1 2 1 4 12
direct
0.0000 0.0000 0.0000 Ti
0.9505 0.9505 0.7525 Nb
0.9639 0.9639 0.2469 Nb
0.9675 0.9675 0.5018 Zn
0.4185 0.4185 0.3976 Pb
0.4370 0.4370 0.8816 Pb
0.4685 0.4685 0.5962 Pb
0.5226 0.5226 0.1124 Pb
0.4698 0.9729 0.0014 O
0.4741 0.9806 0.7649 O
0.4745 0.9954 0.5025 O
0.4826 0.9823 0.2386 O
0.9658 0.9658 0.1182 O
0.9729 0.4698 0.0014 O
0.9743 0.9743 0.6415 O
0.9806 0.4741 0.7649 O
0.9823 0.4826 0.2386 O
0.9874 0.9874 0.8836 O
0.9954 0.4745 0.5025 O
0.9972 0.9972 0.3604 O
```

=====

4.
Compound: NbO2
Source: the Materials Project
Functional: PBE-GGA
Structure: relaxed

Volume, A^3/atom: 12.242
E_form, eV per atom: -2.870
E_tot, eV/atom: -9.078

```
NbO2
1.0
5.0043 0.0000 0.0000
0.0000 5.0043 0.0000
0.0000 0.0000 2.9331
Nb O
2 4
direct
0.0000 0.0000 0.0000 Nb
0.5000 0.5000 0.5000 Nb
0.2116 0.2116 0.5000 O
0.2884 0.7116 0.0000 O
0.7116 0.2884 0.0000 O
0.7884 0.7884 0.5000 O
```